ReTeSCl4, relaxed, DFT PBE; E = -126.38 eV/cell; space-group type = I-4 (82)
1.0
6.4765 -8.1353 -0.2753
-2.6560 -0.4749 10.0461
-7.9417 -0.4349 -6.7041
Cl S Re Te
16 4 4 4
Direct
0.8655 0.3042 0.8155 Cl
0.4887 0.0499 0.1845 Cl
0.2979 0.3913 0.1964 Cl
0.2684 0.5331 0.6199 Cl
0.4669 0.0868 0.7352 Cl
0.9501 0.1345 0.4388 Cl
0.6958 0.5113 0.5612 Cl
0.1008 0.7626 0.8846 Cl
0.7838 0.8992 0.6618 Cl
0.3516 0.7316 0.2648 Cl
0.6086 0.8051 0.9066 Cl
0.9132 0.6484 0.3801 Cl
0.2374 0.1219 0.3382 Cl
0.1949 0.1015 0.8036 Cl
0.8781 0.2162 0.1154 Cl
0.8985 0.7021 0.0934 Cl
0.5560 0.4299 0.7976 S
0.6323 0.7584 0.2024 S
0.5701 0.3677 0.1261 S
0.2416 0.4440 0.8739 S
0.4547 0.5464 0.1480 Re
0.4536 0.6016 0.9084 Re
0.3984 0.3067 0.8520 Re
0.6933 0.5453 0.0916 Re
0.3394 0.8259 0.9019 Te
0.9239 0.4375 0.0981 Te
0.5625 0.6606 0.4864 Te
0.1741 0.0761 0.5136 Te

Na5Y2Mg2P3S3O24, relaxed, DFT PBE; E = -776.41 eV/cell; space-group type = P1 (1)
1.0
-7.2801 5.4924 0.8717
-0.8115 -8.9510 1.5567
5.2569 3.3052 22.3546
O P Na S Mg Y
72 9 15 9 6 6
Direct
0.8654 0.3413 0.9223 O
0.1373 0.6686 0.7567 O
0.3589 0.4940 0.0769 O
0.8169 0.0267 0.8060 O
0.7861 0.9759 0.6976 O
0.0239 0.8256 0.4113 O
0.7828 0.8074 0.1989 O
0.4489 0.1399 0.5319 O
0.8811 0.3566 0.6390 O
0.1106 0.4599 0.8630 O
0.5398 0.6911 0.9667 O
0.6551 0.5265 0.9213 O
0.2056 0.0184 0.5897 O
0.5310 0.8439 0.7556 O
0.4524 0.3121 0.0325 O
0.9897 0.1805 0.5880 O
0.3114 0.8596 0.9757 O
0.8587 0.3090 0.5303 O
0.7984 0.8337 0.9123 O
0.3611 0.8669 0.5776 O
0.1464 0.4783 0.2559 O
0.8194 0.9852 0.4135 O
0.1497 0.6502 0.0809 O
0.8303 0.3118 0.2459 O
0.1698 0.9805 0.9125 O
0.9975 0.8135 0.0877 O
0.9683 0.1876 0.3070 O
0.0214 0.7995 0.6988 O
0.0156 0.1909 0.9133 O
0.1944 0.9735 0.1944 O
0.6780 0.5401 0.5320 O
0.3212 0.8468 0.2554 O
0.3589 0.8794 0.8678 O
0.0137 0.2096 0.1989 O
0.3477 0.4686 0.3668 O
0.8143 0.8100 0.5878 O
0.5035 0.8640 0.0783 O
0.2067 0.1860 0.0884 O
0.4752 0.3443 0.4225 O
0.6816 0.1340 0.0306 O
0.6384 0.1179 0.1347 O
0.4981 0.6457 0.5795 O
0.6979 0.1709 0.7448 O
0.1475 0.6896 0.4674 O
0.4851 0.3269 0.7449 O
0.5462 0.8589 0.4722 O
0.8364 0.5303 0.7463 O
0.6647 0.1467 0.4206 O
0.8826 0.5289 0.1421 O
0.4815 0.1180 0.6350 O
0.4948 0.1395 0.9236 O
0.8157 0.7859 0.3020 O
0.6941 0.5339 0.2446 O
0.9735 0.7863 0.8020 O
0.6366 0.5203 0.6402 O
0.2048 0.0218 0.3023 O
0.4787 0.3593 0.1358 O
0.4812 0.1626 0.2438 O
0.5350 0.6503 0.8627 O
0.1497 0.4977 0.5771 O
0.5393 0.6859 0.2565 O
0.1457 0.4545 0.9669 O
0.1147 0.6456 0.3638 O
0.8732 0.5176 0.4217 O
0.1688 0.1975 0.4129 O
0.2091 0.1842 0.8012 O
0.8623 0.5428 0.0333 O
0.3055 0.4484 0.4706 O
0.8096 0.0131 0.0883 O
0.2015 0.2239 0.6931 O
0.3161 0.4754 0.7554 O
0.5374 0.8829 0.3624 O
0.3037 0.2965 0.7500 P
0.7081 0.0077 0.7525 P
0.3007 0.0092 0.2505 P
0.9916 0.2952 0.2525 P
0.9704 0.3436 0.5848 P
0.9703 0.6290 0.0869 P
0.6400 0.9629 0.4184 P
0.3268 0.9634 0.9208 P
0.6587 0.6272 0.5856 P
0.6686 0.9656 0.5784 Na
0.2959 0.9556 0.0800 Na
0.9617 0.2874 0.4137 Na
0.0083 0.9871 0.9943 Na
0.3047 0.3473 0.5857 Na
0.6385 0.0154 0.2528 Na
0.6905 0.0267 0.9113 Na
0.9815 0.9738 0.4943 Na
0.0012 0.6326 0.2428 Na
0.6420 0.3157 0.3289 Na
0.9959 0.3513 0.7456 Na
0.3147 0.6404 0.1612 Na
0.6347 0.3103 0.8277 Na
0.6293 0.6291 0.7439 Na
0.3286 0.6669 0.6616 Na
0.6324 0.6758 0.9170 S
0.0433 0.6753 0.4175 S
0.6593 0.0327 0.0835 S
0.0384 0.3630 0.9169 S
0.7091 0.7024 0.2513 S
0.3776 0.3431 0.0845 S
0.3747 0.0348 0.5843 S
0.3255 0.3650 0.4188 S
0.9918 0.6991 0.7517 S
0.6713 0.3368 0.1829 Mg
0.0043 0.0058 0.3475 Mg
0.3123 0.6624 0.0161 Mg
0.3394 0.6700 0.5160 Mg
0.0257 0.0117 0.8493 Mg
0.6621 0.3284 0.6822 Mg
0.6720 0.3466 0.9830 Y
0.3375 0.6708 0.3171 Y
0.6702 0.3373 0.4831 Y
0.9984 0.9995 0.6506 Y
0.0036 0.0055 0.1498 Y
0.3356 0.6768 0.8172 Y

NdIn2Ir, relaxed, DFT PBE; E = -42.46 eV/cell; space-group type = Cmcm (63)
1.0
2.2142 -5.2070 0.0000
2.2142 5.2070 0.0000
0.0000 0.0000 8.0729
Nd In Ir
2 4 2
Direct
0.9300 0.0700 0.7500 Nd
0.0700 0.9300 0.2500 Nd
0.3551 0.6449 0.4485 In
0.3551 0.6449 0.0515 In
0.6449 0.3551 0.9485 In
0.6449 0.3551 0.5515 In
0.7815 0.2185 0.2500 Ir
0.2185 0.7815 0.7500 Ir

La3SiAgS7, relaxed, DFT PBE; E = -142.58 eV/cell; piezoelectric modulus e_max = 0.8 C/m²; space-group type = P6_3 (173)
1.0
-10.1657 2.0974 -1.5402
6.2158 -2.1311 -8.1814
-1.2512 -5.6767 0.5280
La S Ag Si
6 14 2 2
Direct
0.7621 0.1214 0.6168 La
0.3593 0.2379 0.6168 La
0.6407 0.7621 0.1168 La
0.8786 0.6407 0.6168 La
0.2379 0.8786 0.1168 La
0.1214 0.3593 0.1168 La
0.0879 0.2652 0.6032 S
0.6667 0.3333 0.8427 S
0.2652 0.1773 0.1032 S
0.1773 0.9121 0.6032 S
0.4746 0.8814 0.8480 S
0.3333 0.6667 0.3427 S
0.8814 0.4068 0.3480 S
0.5932 0.4746 0.3480 S
0.5254 0.1186 0.3480 S
0.1186 0.5932 0.8480 S
0.7348 0.8227 0.6032 S
0.4068 0.5254 0.8480 S
0.8227 0.0879 0.1032 S
0.9121 0.7348 0.1032 S
0.0000 0.0000 0.0713 Ag
0.0000 0.0000 0.5713 Ag
0.6667 0.3333 0.2052 Si
0.3333 0.6667 0.7052 Si

CuCl2, relaxed, DFT PBE; E = -9.32 eV/cell; space-group type = C2/m (12)
1.0
1.8624 -1.3677 -2.3864
2.9686 2.4566 -1.4029
4.8762 -2.6298 3.0009
Cu Cl
1 2
Direct
0.0000 0.0000 0.0000 Cu
0.4982 0.7791 0.2245 Cl
0.5018 0.2209 0.7755 Cl

CaSn2O4, relaxed, DFT PBE; E = -84.32 eV/cell; space-group type = Imma (74); excess energy over the best structure of this formula in the dataset = 155 meV per atom
1.0
6.7567 0.3330 1.4061
-1.0129 2.7602 6.2526
-2.9849 -5.9073 -1.9833
Ca Sn O
2 4 8
Direct
0.6409 0.3909 0.2500 Ca
0.3591 0.6091 0.7500 Ca
0.0000 0.0000 0.5000 Sn
0.0000 0.5000 0.0000 Sn
0.5000 0.0000 0.5000 Sn
0.0000 0.0000 0.0000 Sn
0.7882 0.7512 0.0371 O
0.2118 0.2488 0.9629 O
0.2141 0.7512 0.4629 O
0.2055 0.2122 0.5067 O
0.2055 0.6988 0.9933 O
0.7859 0.2488 0.5371 O
0.7945 0.7878 0.4933 O
0.7945 0.3012 0.0067 O

> Among the records above, which one has the highest E?

CuCl2